# 1
# GGA-PBE Cs2HgC2SI4O, relaxed
# Mass density (g/cm3): 3.67
# Relative energy among the computed polymorphs (meV per atom): 0
data_Cs2HgC2SI4O
_chemical_formula_sum 'Cs4 Hg2 C4 S2 I8 O2'
_cell_length_a 8.481
_cell_length_b 9.993
_cell_length_c 12.008
_cell_angle_alpha 80.44
_cell_angle_beta 74.51
_cell_angle_gamma 76.12
_space_group_name_H-M_alt 'P -1'
_space_group_IT_number 2
loop_
_space_group_symop_operation_xyz
'x,y,z'
'-x,-y,-z'
loop_
_atom_site_label
_atom_site_type_symbol
_atom_site_fract_x
_atom_site_fract_y
_atom_site_fract_z
_atom_site_occupancy
Cs1 Cs 0.174 0.197 0.420 1
Cs2 Cs 0.293 0.240 0.882 1
Hg1 Hg 0.373 0.679 0.731 1
C1 C 0.290 0.581 0.263 1
C2 C 0.428 0.501 0.260 1
S1 S 0.087 0.643 0.266 1
I1 I 0.038 0.649 0.835 1
I2 I 0.072 0.913 0.226 1
I3 I 0.382 0.812 0.502 1
I4 I 0.458 0.853 0.871 1
O1 O 0.013 0.384 0.613 1

# 2
# GGA-PBE Cs2HgC2SI4O, relaxed
# Mass density (g/cm3): 3.71
# Relative energy among the computed polymorphs (meV per atom): 86
data_Cs2HgC2SI4O
_chemical_formula_sum 'Cs4 Hg2 C4 S2 I8 O2'
_cell_length_a 8.597
_cell_length_b 9.989
_cell_length_c 11.733
_cell_angle_alpha 81.96
_cell_angle_beta 73.49
_cell_angle_gamma 76.36
_space_group_name_H-M_alt 'P -1'
_space_group_IT_number 2
loop_
_space_group_symop_operation_xyz
'x,y,z'
'-x,-y,-z'
loop_
_atom_site_label
_atom_site_type_symbol
_atom_site_fract_x
_atom_site_fract_y
_atom_site_fract_z
_atom_site_occupancy
Cs1 Cs 0.170 0.175 0.416 1
Cs2 Cs 0.264 0.217 0.889 1
Hg1 Hg 0.280 0.785 0.733 1
C1 C 0.293 0.535 0.272 1
C2 C 0.450 0.493 0.242 1
S1 S 0.102 0.613 0.278 1
I1 I 0.018 0.957 0.226 1
I2 I 0.053 0.608 0.833 1
I3 I 0.415 0.805 0.486 1
I4 I 0.472 0.830 0.878 1
O1 O 0.005 0.382 0.598 1

# 3
# GGA-PBE CsHgC3S3N3, relaxed
# Mass density (g/cm3): 2.99
# Raw total energy (eV/atom): -6.012
data_CsHgC3S3N3
_chemical_formula_sum 'Cs8 Hg8 C24 S24 N24'
_cell_length_a 10.037
_cell_length_b 11.233
_cell_length_c 21.254
_cell_angle_alpha 90.00
_cell_angle_beta 109.54
_cell_angle_gamma 90.00
_space_group_name_H-M_alt 'P 1 21/c 1'
_space_group_IT_number 14
loop_
_space_group_symop_operation_xyz
'x,y,z'
'-x,-y,-z'
'-x,y+1/2,-z+1/2'
'x,-y+1/2,z+1/2'
loop_
_atom_site_label
_atom_site_type_symbol
_atom_site_fract_x
_atom_site_fract_y
_atom_site_fract_z
_atom_site_occupancy
Cs1 Cs 0.032 0.216 0.075 1
Cs2 Cs 0.417 0.746 0.830 1
Hg1 Hg 0.083 0.227 0.867 1
Hg2 Hg 0.475 0.732 0.092 1
C1 C 0.053 0.513 0.282 1
C2 C 0.190 0.611 0.147 1
C3 C 0.254 0.583 0.612 1
C4 C 0.307 0.008 0.953 1
C5 C 0.308 0.150 0.263 1
C6 C 0.315 0.008 0.525 1
S1 S 0.005 0.126 0.757 1
S2 S 0.025 0.597 0.095 1
S3 S 0.295 0.153 0.967 1
S4 S 0.316 0.102 0.338 1
S5 S 0.327 0.622 0.990 1
S6 S 0.428 0.586 0.648 1
N1 N 0.084 0.613 0.295 1
N2 N 0.130 0.574 0.588 1
N3 N 0.299 0.181 0.209 1
N4 N 0.301 0.102 0.547 1
N5 N 0.310 0.616 0.181 1
N6 N 0.322 0.595 0.447 1

# 4
# GGA-PBE CsC2I3N2, relaxed
# Mass density (g/cm3): 3.61
# Raw total energy (eV/atom): -5.057
data_CsC2I3N2
_chemical_formula_sum 'Cs2 C4 I6 N4'
_cell_length_a 6.796
_cell_length_b 16.571
_cell_length_c 4.627
_cell_angle_alpha 90.00
_cell_angle_beta 90.00
_cell_angle_gamma 90.00
_space_group_name_H-M_alt 'P m m n'
_space_group_IT_number 59
loop_
_space_group_symop_operation_xyz
'x,y,z'
'-x,-y,-z'
'-x+1/2,-y+1/2,z'
'x+1/2,y+1/2,-z'
'x+1/2,-y,-z'
'-x+1/2,y,z'
'-x,y+1/2,-z'
'x,-y+1/2,z'
loop_
_atom_site_label
_atom_site_type_symbol
_atom_site_fract_x
_atom_site_fract_y
_atom_site_fract_z
_atom_site_occupancy
Cs1 Cs 0.250 0.250 0.182 1
C1 C 0.250 0.038 0.719 1
I1 I 0.250 0.575 0.907 1
I2 I 0.250 0.750 0.247 1
N1 N 0.250 0.104 0.627 1

# 5
# GGA-PBE Cs2PtC4I2N4, relaxed
# Mass density (g/cm3): 3.72
# Raw total energy (eV/atom): -6.418
data_Cs2PtC4I2N4
_chemical_formula_sum 'Cs4 Pt2 C8 I4 N8'
_cell_length_a 7.891
_cell_length_b 10.015
_cell_length_c 9.649
_cell_angle_alpha 90.00
_cell_angle_beta 106.67
_cell_angle_gamma 90.00
_space_group_name_H-M_alt 'P 1 21/c 1'
_space_group_IT_number 14
loop_
_space_group_symop_operation_xyz
'x,y,z'
'-x,-y,-z'
'-x,y+1/2,-z+1/2'
'x,-y+1/2,z+1/2'
loop_
_atom_site_label
_atom_site_type_symbol
_atom_site_fract_x
_atom_site_fract_y
_atom_site_fract_z
_atom_site_occupancy
Cs1 Cs 0.023 0.218 0.384 1
Pt1 Pt 0.500 0.000 0.000 1
C1 C 0.310 0.026 0.100 1
C2 C 0.320 0.038 0.809 1
I1 I 0.422 0.734 0.970 1
N1 N 0.198 0.042 0.156 1
N2 N 0.211 0.060 0.700 1